1.
A plane-wave DFT calculation with PBE+U was carried out for a relaxed structure of PrVO4.

Cell lengths 6.7461, 7.2998, 8.3864 Å; angles 90.00, 125.21, 90.00 degrees
Last column: nearest neighbours and their distance in Å.
Positions (direct):
Pr 0.1838 0.1544 0.2814  8 O 2.48-2.67
Pr 0.1838 0.3456 0.7814  8 O 2.48-2.67
Pr 0.8162 0.6544 0.2186  8 O 2.48-2.67
Pr 0.8162 0.8456 0.7186  8 O 2.48-2.67
V 0.3087 0.6651 0.1966  4 O 1.73-1.75
V 0.3087 0.8349 0.6966  4 O 1.73-1.75
V 0.6913 0.1651 0.3034  4 O 1.73-1.75
V 0.6913 0.3349 0.8034  4 O 1.73-1.75
O 0.1046 0.6534 0.6082  1 V 1.74
O 0.1046 0.8466 0.1082  1 V 1.74
O 0.1703 0.0041 0.7490  1 V 1.75
O 0.1703 0.4959 0.2490  1 V 1.75
O 0.3456 0.6057 0.0149  1 V 1.73
O 0.3456 0.8943 0.5149  1 V 1.73
O 0.3919 0.2207 0.1194  1 V 1.74
O 0.3919 0.2793 0.6194  1 V 1.74
O 0.6081 0.7207 0.3806  1 V 1.74
O 0.6081 0.7793 0.8806  1 V 1.74
O 0.6544 0.1057 0.4851  1 V 1.73
O 0.6544 0.3943 0.9851  1 V 1.73
O 0.8297 0.5041 0.7510  1 V 1.75
O 0.8297 0.9959 0.2510  1 V 1.75
O 0.8954 0.1534 0.8918  1 V 1.74
O 0.8954 0.3466 0.3918  1 V 1.74

Summary:
- symmetry = P2_1/c, No. 14
- total moment (μB per formula unit) = 0.00

***

2.
A plane-wave DFT calculation with PBE+U was carried out for a relaxed structure of PrVO4.

Cell lengths 6.2209, 6.2209, 6.2209 Å; angles 106.03, 106.03, 116.59 degrees
Last column: nearest neighbours and their distance in Å.
Positions (direct):
Pr 0.3750 0.6250 0.7500  8 O 2.46-2.54
Pr 0.6250 0.3750 0.2500  8 O 2.46-2.54
V 0.1250 0.8750 0.2500  4 O 1.74
V 0.8750 0.1250 0.7500  4 O 1.74
O 0.1341 0.7048 0.4293  1 V 1.74
O 0.2245 0.2952 0.9293  1 V 1.74
O 0.2952 0.2245 0.4293  1 V 1.74
O 0.2952 0.8659 0.0707  1 V 1.74
O 0.7048 0.1341 0.9293  1 V 1.74
O 0.7048 0.7755 0.5707  1 V 1.74
O 0.7755 0.7048 0.0707  1 V 1.74
O 0.8659 0.2952 0.5707  1 V 1.74

Summary:
- symmetry = I4_1/amd, No. 141

***

Values of calculated density, in order: 5.036; 4.639, all in g/cm3.
Values of formation energy from the elements, in order: -3.120; -3.166, all in eV per atom.